No. 1
Below is an optimized crystal structure of CoTeSe, with properties calculated at the r²SCAN level.

```
3
Lattice="2.693 1.835 -1.551 -2.998 1.723 1.034 2.224 0.908 4.935" Properties=species:S:1:pos:R:3 pbc="T T T"
Te 1.339 2.019 0.515
Co 2.183 0.891 4.846
Se 0.621 2.463 3.993
```

Properties
Space-group type = No. 156
Calculated formation energy = -0.213 eV/atom
Spin magnetization = 0.0 μB per formula unit

***

No. 2
Below is an optimized crystal structure of Ti5CoSe10, with properties calculated at the r²SCAN level.

```
16
Lattice="6.188 0.006 -0.005 0.006 7.008 0.034 -3.098 -2.502 7.668" Properties=species:S:1:pos:R:3 pbc="T T T"
Se 4.127 2.228 0.748
Se 1.015 4.900 5.401
Se -1.031 2.284 6.949
Se -2.065 -1.183 6.870
Se 2.081 -0.387 2.296
Se 1.049 3.138 2.327
Se 5.161 5.696 0.827
Se -1.018 0.489 3.836
Se 4.113 4.023 3.861
Se 2.047 1.374 5.370
Ti 0.046 0.930 1.542
Ti 3.154 1.800 3.070
Ti 3.094 0.003 -0.002
Ti 3.049 3.583 6.155
Ti -0.059 2.713 4.627
Co 0.003 3.504 0.017
```

Properties
Space-group type = No. 2
Calculated formation energy = -1.210 eV/atom
Spin magnetization = 1.6 μB per formula unit

***

No. 3
Below is an optimized crystal structure of U8CoSe17, with properties calculated at the r²SCAN level.

```
26
Lattice="4.425 6.994 -0.024 -4.431 6.990 -0.031 -0.004 2.228 10.608" Properties=species:S:1:pos:R:3 pbc="T T T"
Se -2.755 7.270 10.316
Se 1.720 9.979 5.655
Se -0.006 13.750 2.281
Se -0.004 7.080 1.770
Se 2.762 8.944 0.250
Se -0.005 3.575 2.950
Se -0.002 5.893 8.000
Se -0.028 2.468 8.273
Se 1.724 6.235 4.901
Se -0.008 10.321 2.551
Se -0.040 12.642 7.610
Se -2.762 8.913 0.227
Se -1.734 6.240 4.914
Se -1.737 9.975 5.653
Se 2.764 7.270 10.317
Se -0.006 9.130 8.775
Se -4.426 8.103 5.279
U -0.011 11.698 10.365
U 2.274 8.491 3.084
U -0.003 4.058 5.778
U -2.279 8.485 3.079
U -2.283 7.733 7.490
U -0.003 12.151 4.769
U 2.275 7.724 7.449
U 0.016 4.510 0.185
Co -0.007 2.234 10.599
```

Properties
Space-group type = No. 1
Calculated formation energy = -1.472 eV/atom
Spin magnetization = 1.0 μB per formula unit

***

- What is the spin magnetization in the third record?
  1.0 μB per formula unit

***

- spin magnetization of number 2 (Ti5CoSe10)?
  1.6 μB per formula unit

***

What did the third record say?
Below is an optimized crystal structure of U8CoSe17, with properties calculated at the r²SCAN level.

```
26
Lattice="4.425 6.994 -0.024 -4.431 6.990 -0.031 -0.004 2.228 10.608" Properties=species:S:1:pos:R:3 pbc="T T T"
Se -2.755 7.270 10.316
Se 1.720 9.979 5.655
Se -0.006 13.750 2.281
Se -0.004 7.080 1.770
Se 2.762 8.944 0.250
Se -0.005 3.575 2.950
Se -0.002 5.893 8.000
Se -0.028 2.468 8.273
Se 1.724 6.235 4.901
Se -0.008 10.321 2.551
Se -0.040 12.642 7.610
Se -2.762 8.913 0.227
Se -1.734 6.240 4.914
Se -1.737 9.975 5.653
Se 2.764 7.270 10.317
Se -0.006 9.130 8.775
Se -4.426 8.103 5.279
U -0.011 11.698 10.365
U 2.274 8.491 3.084
U -0.003 4.058 5.778
U -2.279 8.485 3.079
U -2.283 7.733 7.490
U -0.003 12.151 4.769
U 2.275 7.724 7.449
U 0.016 4.510 0.185
Co -0.007 2.234 10.599
```

Properties
Space-group type = No. 1
Calculated formation energy = -1.472 eV/atom
Spin magnetization = 1.0 μB per formula unit